Record 1
Li4NpO5: relaxed, GGA-PBE.

Values from the calculation:
corrected total energy (MP2020 scheme): -7.314 eV/atom
ΔH_f (0 K): -268.4 kJ per mole of atoms
SG: I4/m (87)
crystal system: tetragonal
calculated total energy: -6.97 eV per atom

a b c (Å): 5.2667 5.2667 5.2667
angles (deg): 100.24 100.24 130.12
Last column: nearest neighbours and their distance in Å.
Sites, in units of the cell vectors:
O1 0.9132 0.7151 0.6283  1 Np 2.01, 4 Li 2.06-2.23
O2 0.5000 0.5000 0.0000  4 Li 2.18, 2 Np 2.22
O3 0.0868 0.2849 0.3717  1 Np 2.01, 4 Li 2.06-2.23
O4 0.2849 0.9132 0.1981  1 Np 2.01, 4 Li 2.06-2.23
O5 0.7151 0.0868 0.8019  1 Np 2.01, 4 Li 2.06-2.23
Np1 0.0000 0.0000 0.0000  6 O 2.01-2.22
Li1 0.8104 0.4131 0.2235  6 O 2.06-2.30
Li2 0.1896 0.5869 0.7765  6 O 2.06-2.30
Li3 0.4131 0.1896 0.6028  6 O 2.06-2.30
Li4 0.5869 0.8104 0.3972  6 O 2.06-2.30

=====

Record 2
Na4MgZrSi2SO12: relaxed, GGA-PBE.

Values from the calculation:
corrected total energy (MP2020 scheme): -7.026 eV/atom
magnetization: 0.00 μB/f.u.
ΔH_f (0 K): -265.3 kJ per mole of atoms
calculated total energy: -6.63 eV per atom

a b c (Å): 9.2317 9.2178 22.5421
angles (deg): 90.02 90.00 120.05
Last column: nearest neighbours and their distance in Å.
Sites, in units of the cell vectors:
Si1 0.9970 0.2933 0.2525  4 O 1.61-1.68
Si2 0.6356 0.6744 0.9203  4 O 1.61-1.68
Si3 0.6297 0.9600 0.4192  4 O 1.61-1.68
Si4 0.3022 0.0078 0.2536  4 O 1.61-1.68
Si5 0.9689 0.3411 0.5870  4 O 1.61-1.68
Si6 0.6637 0.6267 0.5859  4 O 1.61-1.68
Si7 0.3722 0.3411 0.0870  4 O 1.61-1.68
Si8 0.0389 0.6744 0.4203  4 O 1.61-1.68
Si9 0.2964 0.2933 0.7525  4 O 1.61-1.68
Si10 0.9630 0.6267 0.0859  4 O 1.61-1.68
Si11 0.7055 0.0078 0.7536  4 O 1.61-1.68
Si12 0.3303 0.9600 0.9192  4 O 1.61-1.68
O1 0.5360 0.6870 0.2561  1 S 1.50
O2 0.9660 0.8107 0.0881  1 Si 1.68
O3 0.1830 0.2054 0.4119  1 S 1.47
O4 0.1161 0.4788 0.8636  1 S 1.50
O5 0.6891 0.5387 0.2453  1 S 1.47
O6 0.5427 0.8443 0.4765  1 Si 1.61
O7 0.1438 0.4546 0.9705  1 S 1.47
O8 0.8760 0.5110 0.1432  1 Si 1.61
O9 0.3496 0.5037 0.0783  1 Si 1.62
O10 0.2105 0.0307 0.3104  1 Si 1.61
O11 0.3169 0.8330 0.2540  1 Si 1.68
O12 0.2027 0.0203 0.5895  1 S 1.50
O13 0.4539 0.2993 0.0272  1 Si 1.68
O14 0.4772 0.1213 0.6372  1 S 1.47
O15 0.8207 0.8370 0.9116  1 Si 1.62
O16 0.9836 0.1663 0.5873  1 Si 1.68
O17 0.5163 0.8721 0.0786  1 S 1.47
O18 0.0294 0.8122 0.6970  1 S 1.50
O19 0.4843 0.3536 0.4228  1 S 1.50
O20 0.2994 0.4774 0.7547  1 Si 1.68
O21 0.8453 0.2993 0.5272  1 Si 1.68
O22 0.8445 0.5354 0.0259  1 Si 1.68
O23 0.1206 0.6326 0.3605  1 Si 1.68
O24 0.3628 0.4788 0.3636  1 S 1.50
O25 0.5161 0.8330 0.7540  1 Si 1.68
O26 0.1778 0.2020 0.6925  1 Si 1.68
O27 0.8694 0.3536 0.9228  1 S 1.50
O28 0.6441 0.1213 0.1372  1 S 1.47
O29 0.4494 0.1455 0.5303  1 S 1.50
O30 0.5438 0.6974 0.9771  1 Si 1.61
O31 0.4873 0.1703 0.2450  1 Si 1.62
O32 0.1780 0.4774 0.2547  1 Si 1.68
O33 0.5039 0.6555 0.5793  1 Si 1.63
O34 0.8497 0.5387 0.7453  1 S 1.47
O35 0.4869 0.3641 0.1438  1 Si 1.61
O36 0.4849 0.3221 0.7459  1 Si 1.63
O37 0.5120 0.6326 0.8605  1 Si 1.68
O38 0.3575 0.8687 0.8592  1 Si 1.68
O39 0.1787 0.9659 0.1938  1 Si 1.68
O40 0.6909 0.5354 0.5259  1 Si 1.68
O41 0.5112 0.8687 0.3592  1 Si 1.68
O42 0.8182 0.9888 0.4126  1 Si 1.63
O43 0.3108 0.4546 0.4705  1 S 1.47
O44 0.8176 0.0203 0.0895  1 S 1.50
O45 0.1706 0.9888 0.9126  1 Si 1.63
O46 0.3017 0.8443 0.9765  1 Si 1.61
O47 0.0242 0.2020 0.1925  1 Si 1.68
O48 0.7873 0.9659 0.6938  1 Si 1.68
O49 0.1827 0.1663 0.0873  1 Si 1.68
O50 0.1516 0.6555 0.0793  1 Si 1.63
O51 0.0224 0.2054 0.9119  1 S 1.47
O52 0.8494 0.4997 0.4207  1 Si 1.68
O53 0.9684 0.1777 0.3099  1 Si 1.61
O54 0.8771 0.3641 0.6438  1 Si 1.61
O55 0.6327 0.1441 0.4214  1 Si 1.68
O56 0.6503 0.4997 0.9207  1 Si 1.68
O57 0.8105 0.7880 0.3038  1 S 1.47
O58 0.0163 0.8370 0.4116  1 Si 1.62
O59 0.6830 0.1703 0.7450  1 Si 1.62
O60 0.5114 0.1441 0.9214  1 Si 1.68
O61 0.9774 0.7880 0.8038  1 S 1.47
O62 0.2093 0.1777 0.8099  1 Si 1.61
O63 0.6961 0.1455 0.0303  1 S 1.50
O64 0.8372 0.3221 0.2459  1 Si 1.63
O65 0.1536 0.6974 0.4771  1 Si 1.61
O66 0.1510 0.6870 0.7561  1 S 1.50
O67 0.3557 0.8721 0.5786  1 S 1.47
O68 0.8203 0.0307 0.8104  1 Si 1.61
O69 0.7827 0.8122 0.1969  1 S 1.50
O70 0.1540 0.5037 0.5783  1 Si 1.62
O71 0.8447 0.8107 0.5881  1 Si 1.68
O72 0.6350 0.5110 0.6432  1 Si 1.61
Na1 0.0267 0.6826 0.5777  5 O 2.46-2.71
Na2 0.6716 0.3183 0.3274  3 O 2.38-2.57
Na3 0.6427 0.0240 0.2542  3 O 2.42-2.62
Na4 0.3134 0.6517 0.1608  3 O 2.38-2.57
Na5 0.9892 0.3493 0.7443  5 O 2.46-2.71
Na6 0.9605 0.2869 0.4092  5 O 2.38-2.64
Na7 0.6271 0.6202 0.7425  5 O 2.38-2.64
Na8 0.9760 0.6907 0.9209  3 O 2.42-2.62
Na9 0.3093 0.3574 0.5876  3 O 2.42-2.62
Na10 0.6934 0.0159 0.9110  5 O 2.46-2.71
Na11 0.6468 0.3183 0.8274  3 O 2.38-2.57
Na12 0.3814 0.0240 0.7542  3 O 2.42-2.62
Na13 0.6598 0.9536 0.5759  5 O 2.38-2.64
Na14 0.9801 0.9850 0.4941  3 O 2.38-2.57
Na15 0.6559 0.6826 0.0777  5 O 2.46-2.71
Na16 0.0049 0.9850 0.9941  3 O 2.38-2.57
Na17 0.7147 0.6907 0.4209  3 O 2.42-2.62
Na18 0.3225 0.0159 0.4110  5 O 2.46-2.71
Na19 0.3382 0.6517 0.6608  3 O 2.38-2.57
Na20 0.3601 0.3493 0.2443  5 O 2.46-2.71
Na21 0.3264 0.2869 0.9092  5 O 2.38-2.64
Na22 0.2938 0.9536 0.0759  5 O 2.38-2.64
Na23 0.0480 0.3574 0.0876  3 O 2.42-2.62
Na24 0.9931 0.6202 0.2425  5 O 2.38-2.64
S1 0.6661 0.0395 0.0845  4 O 1.47-1.50
S2 0.0400 0.3728 0.9178  4 O 1.47-1.50
S3 0.3328 0.3728 0.4178  4 O 1.47-1.50
S4 0.7067 0.7061 0.2512  4 O 1.47-1.50
S5 0.3734 0.0395 0.5845  4 O 1.47-1.50
S6 0.9994 0.7061 0.7512  4 O 1.47-1.50
Mg1 0.3333 0.6695 0.0168  5 O 1.99-2.14
Mg2 0.0000 0.0028 0.3501  5 O 1.99-2.14
Mg3 0.0028 0.0028 0.8501  5 O 1.99-2.14
Mg4 0.6695 0.3361 0.1834  5 O 1.99-2.14
Mg5 0.6667 0.3361 0.6834  5 O 1.99-2.14
Mg6 0.3361 0.6695 0.5168  5 O 1.99-2.14
Zr1 0.6543 0.3396 0.9822  4 O 1.97-2.12
Zr2 0.3210 0.6730 0.3156  4 O 1.97-2.12
Zr3 0.6854 0.3396 0.4822  4 O 1.97-2.12
Zr4 0.3520 0.6730 0.8156  4 O 1.97-2.12
Zr5 0.0187 0.0063 0.1489  4 O 1.97-2.12
Zr6 0.9876 0.0063 0.6489  4 O 1.97-2.12

=====

Record 3
Ba4GdYCu6O14: relaxed, GGA-PBE.

Values from the calculation:
corrected total energy (MP2020 scheme): -6.870 eV/atom
magnetization: 6.92 μB/f.u.
ΔH_f (0 K): -209.8 kJ per mole of atoms
SG: Pmmm (47)
crystal system: orthorhombic
calculated total energy: -6.50 eV per atom

a b c (Å): 3.8574 3.9309 23.7217
angles (deg): 90.00 90.00 90.00
Last column: nearest neighbours and their distance in Å.
Sites, in units of the cell vectors:
Ba1 0.5000 0.5000 0.1597  10 O 2.77-3.04
Ba2 0.5000 0.5000 0.8403  10 O 2.77-3.04
Ba3 0.5000 0.5000 0.6595  10 O 2.77-3.07
Ba4 0.5000 0.5000 0.3405  10 O 2.77-3.07
O1 0.0000 0.0000 0.8293  1 Cu 1.88
O2 0.0000 0.5000 0.7499  2 Cu 1.97
O3 0.5000 0.0000 0.0617  2 Cu 1.95
O4 0.0000 0.0000 0.1707  1 Cu 1.88
O5 0.0000 0.0000 0.3294  1 Cu 1.88
O6 0.5000 0.0000 0.5602  2 Cu 1.96
O7 0.0000 0.5000 0.2501  2 Cu 1.97
O8 0.0000 0.5000 0.9378  2 Cu 1.99
O9 0.0000 0.5000 0.0622  2 Cu 1.99
O10 0.0000 0.5000 0.4393  2 Cu 1.99
O11 0.5000 0.0000 0.9383  2 Cu 1.95
O12 0.0000 0.0000 0.6706  1 Cu 1.88
O13 0.0000 0.5000 0.5607  2 Cu 1.99
O14 0.5000 0.0000 0.4398  2 Cu 1.96
Cu1 0.0000 0.0000 0.2500  4 O 1.88-1.97
Cu2 0.0000 0.0000 0.5739  4 O 1.96-1.99
Cu3 0.0000 0.0000 0.0746  4 O 1.95-1.99
Cu4 0.0000 0.0000 0.4261  4 O 1.96-1.99
Cu5 0.0000 0.0000 0.7500  4 O 1.88-1.97
Cu6 0.0000 0.0000 0.9254  4 O 1.95-1.99
Gd1 0.5000 0.5000 0.0000  8 O 2.43-2.45
Y1 0.5000 0.5000 0.5000  8 O 2.41-2.43

=====

Record 4
KIn3: relaxed, GGA-PBE.

Values from the calculation:
magnetization: 0.00 μB/f.u.
ΔH_f (0 K): -2.7 kJ per mole of atoms
SG: Fm-3m (225)
crystal system: cubic
calculated total energy: -2.37 eV per atom

a b c (Å): 5.5321 5.5321 5.5321
angles (deg): 60.00 60.00 60.00
Last column: nearest neighbours and their distance in Å.
Sites, in units of the cell vectors:
In1 0.2500 0.2500 0.2500  4 In 3.39, 4 K 3.39
In2 0.7500 0.7500 0.7500  4 K 3.39, 4 In 3.39
In3 0.5000 0.5000 0.5000  8 In 3.39
K1 0.0000 0.0000 0.0000  8 In 3.39

=====

Record 5
HoCuS2: relaxed, GGA-PBE.

Values from the calculation:
corrected total energy (MP2020 scheme): -5.863 eV/atom
ΔH_f (0 K): -156.7 kJ per mole of atoms
SG: Pnma (62)
crystal system: orthorhombic
calculated total energy: -5.61 eV per atom

a b c (Å): 3.9450 6.2425 13.3908
angles (deg): 90.00 90.00 90.00
Last column: nearest neighbours and their distance in Å.
Sites, in units of the cell vectors:
Ho1 0.2500 0.5007 0.1333  6 S 2.65-2.80
Ho2 0.7500 0.0007 0.3667  6 S 2.65-2.80
Ho3 0.7500 0.4993 0.8667  6 S 2.65-2.80
Ho4 0.2500 0.9993 0.6333  6 S 2.65-2.80
Cu1 0.2500 0.3729 0.4552  4 S 2.30-2.41
Cu2 0.7500 0.8729 0.0448  4 S 2.30-2.41
Cu3 0.7500 0.6271 0.5448  4 S 2.30-2.41
Cu4 0.2500 0.1271 0.9552  4 S 2.30-2.41
S1 0.7500 0.2535 0.0399  3 Cu 2.38-2.41
S2 0.7500 0.7608 0.7049  1 Cu 2.30
S3 0.2500 0.7465 0.9601  3 Cu 2.38-2.41
S4 0.2500 0.7535 0.4601  3 Cu 2.38-2.41
S5 0.2500 0.2608 0.7951  1 Cu 2.30
S6 0.2500 0.2392 0.2951  1 Cu 2.30
S7 0.7500 0.2465 0.5399  3 Cu 2.38-2.41
S8 0.7500 0.7392 0.2049  1 Cu 2.30

=====

Record 6
MgAl4H12O12: relaxed, GGA-PBE.

Values from the calculation:
corrected total energy (MP2020 scheme): -5.959 eV/atom
magnetization: 0.00 μB/f.u.
ΔH_f (0 K): -186.7 kJ per mole of atoms
energy above the lowest structure with this stoichiometry: 59.4 meV per atom
SG: P1 (1)
crystal system: triclinic
calculated total energy: -5.67 eV per atom

a b c (Å): 7.1299 8.2134 7.5581
angles (deg): 104.20 137.88 98.47
Last column: nearest neighbours and their distance in Å.
Sites, in units of the cell vectors:
Al1 0.4988 0.1497 0.6659  6 O 1.85-2.06
Al2 0.9956 0.5994 0.6206  5 O 1.84-1.92
Al3 0.4232 0.9051 0.2619  5 O 1.81-1.89
Al4 0.0499 0.3106 0.3640  6 O 1.88-2.01
H1 0.1779 0.6711 0.4576  1 O 0.99
H2 0.9001 0.9515 0.1653  1 O 1.04
H3 0.4465 0.5165 0.1274  1 O 0.98
H4 0.4511 0.2077 0.9660  1 O 0.97
H5 0.7090 0.7841 0.9139  1 H 1.30
H6 0.8814 0.2888 0.5681  1 O 0.99
H7 0.9216 0.9376 0.5117  1 O 0.97
H8 0.3384 0.1916 0.2484  1 O 0.98
H9 0.6395 0.5049 0.9196  1 O 0.98
H10 0.4476 0.9453 0.9504  1 O 0.99
H11 0.1368 0.3643 0.1061  1 O 0.98
H12 0.8859 0.5814 0.8816  1 O 0.99
O1 0.4878 0.1512 0.3863  1 H 0.98
O2 0.0242 0.6665 0.9039  1 H 0.99
O3 0.5716 0.5389 0.3298  1 H 0.98
O4 0.0451 0.3870 0.6281  1 H 0.99
O5 0.0336 0.5578 0.4006  1 H 0.99
O6 0.5768 0.1636 0.9764  1 H 0.97
O7 0.3423 0.8485 0.9469  1 H 0.99
O8 0.8264 0.9389 0.5591  1 H 0.97
O9 0.0634 0.0854 0.3702  1 H 1.04
O10 0.5166 0.4070 0.7171  1 H 0.98
O11 0.4162 0.9002 0.4967  2 Al 1.82-1.85, 1 Mg 1.98
O12 0.9781 0.2711 0.0537  1 H 0.98
Mg1 0.6986 0.7854 0.6687  1 H 1.80, 1 O 1.98